(1)
The following is a DFT calculation (PBE) of a relaxed HfSb crystal.

a = 5.6325 Å, b = 5.6325 Å, c = 5.6325 Å
α = 90.00°, β = 90.00°, γ = 90.00°
With the nearest neighbours (Å) after each atom.
Space group P2_13 (No. 198)
Unique sites:
Hf1 0.1440 0.1440 0.1440 x4  7 Sb 2.93-3.10
Sb1 0.1563 0.3437 0.6563 x4  7 Hf 2.93-3.10

Output
VASP energy, eV for the cell shown: -60.69



(2)
The following is a DFT calculation (PBE) of a relaxed Rb4PS3O16 crystal.

a = 7.9252 Å, b = 14.8769 Å, c = 7.5084 Å
α = 90.00°, β = 90.00°, γ = 90.00°
With the nearest neighbours (Å) after each atom.
Space group P2_12_12 (No. 18)
Unique sites:
Rb1 0.0000 0.0000 0.0644 x2  8 O 2.96-3.17
Rb2 0.0000 0.5000 0.2317 x2  10 O 3.01-3.33
Rb3 0.1559 0.7581 0.6443 x4  7 O 2.89-3.19
P1 0.0000 0.5000 0.7305 x2  4 O 1.54-1.55
S1 0.0000 0.0000 0.5607 x2  4 O 1.49
S2 0.1554 0.7384 0.1464 x4  4 O 1.49
O1 0.0161 0.7034 0.2609 x4  1 S 1.49
O2 0.0635 0.0755 0.4488 x4  1 S 1.49
O3 0.0849 0.5686 0.6060 x4  1 P 1.54
O4 0.0886 0.8080 0.0235 x4  1 S 1.49
O5 0.1281 0.4555 0.8582 x4  1 P 1.55
O6 0.1374 0.9631 0.6750 x4  1 S 1.49
O7 0.2122 0.2805 0.7390 x4  1 S 1.49
O8 0.2304 0.6621 0.0456 x4  1 S 1.49

Output
VASP energy, eV for the cell shown: -271.49



(3)
The following is a DFT calculation (PBE) of a relaxed Sm3SiAgS7 crystal.

a = 10.1899 Å, b = 10.1899 Å, c = 5.7570 Å
α = 90.00°, β = 90.00°, γ = 120.00°
With the nearest neighbours (Å) after each atom.
Space group P6_3 (No. 173)
Unique sites:
Sm1 0.1266 0.3600 0.0000 x6  8 S 2.84-3.12
Si1 0.3333 0.6667 0.4127 x2  4 S 2.12-2.15
Ag1 0.0000 0.0000 0.0957 x2  3 S 2.46
S1 0.0964 0.2713 0.5234 x6  1 Ag 2.46
S2 0.1125 0.5882 0.2647 x6  1 Si 2.15
S3 0.3333 0.6667 0.7805 x2  1 Si 2.12

Output
VASP energy, eV for the cell shown: -138.49



(4)
The following is a DFT calculation (PBE) of a relaxed InCu6ClO8 crystal.

a = 9.2247 Å, b = 9.2247 Å, c = 9.2247 Å
α = 90.00°, β = 90.00°, γ = 90.00°
With the nearest neighbours (Å) after each atom.
Space group Fm-3m (No. 225)
Unique sites:
In1 0.0000 0.0000 0.0000 x4  8 O 2.28
Cu1 0.0000 0.2500 0.2500 x24  4 O 1.92
Cl1 0.0000 0.0000 0.5000 x4  12 Cu 3.26
O1 0.1425 0.1425 0.1425 x32  3 Cu 1.92

Output
VASP energy, eV for the cell shown: -325.56



(5)
The following is a DFT calculation (PBE) of a relaxed Dy2CuO4 crystal.

a = 11.8616 Å, b = 5.4942 Å, c = 5.4908 Å
α = 90.00°, β = 90.00°, γ = 90.00°
With the nearest neighbours (Å) after each atom.
Space group Cmce (No. 64)
Unique sites:
Dy1 0.1536 0.0000 0.0000 x8  6 O 2.22-2.43
Cu1 0.0000 0.0000 0.5000 x4  4 O 1.97
O1 0.0000 0.2066 0.2073 x8  2 Cu 1.97
O2 0.2500 0.2408 0.7500 x8  4 Dy 2.22-2.28

Output
VASP energy, eV for the cell shown: -208.50



(6)
The following is a DFT calculation (PBE) of a relaxed LiMg14Al crystal.

a = 6.2988 Å, b = 6.2988 Å, c = 10.3660 Å
α = 90.00°, β = 90.00°, γ = 120.00°
With the nearest neighbours (Å) after each atom.
Space group P-6m2 (No. 187)
Unique sites:
Li1 0.0000 0.0000 0.0000 x1  12 Mg 3.15-3.16
Mg1 0.0009 0.5004 0.0000 x3  10 Mg 3.14-3.18, 2 Li 3.15
Mg2 0.1654 0.3308 0.2508 x6  10 Mg 3.13-3.18, 1 Al 3.15, 1 Li 3.16
Mg3 0.5003 0.0007 0.5000 x3  10 Mg 3.14-3.17, 2 Al 3.15
Mg4 0.6667 0.3333 0.2494 x2  12 Mg 3.15-3.17
Al1 0.0000 0.0000 0.5000 x1  12 Mg 3.15

Output
Distance to the lowest polymorph of the same formula, meV per atom: 3
VASP energy, eV for the cell shown: -28.15



(7)
The following is a DFT calculation (PBE) of a relaxed TiCrAgS4 crystal.

a = 3.4812 Å, b = 11.2823 Å, c = 12.8267 Å
α = 90.00°, β = 90.00°, γ = 90.00°
With the nearest neighbours (Å) after each atom.
Space group Pmn2_1 (No. 31)
Unique sites:
Ti1 0.0000 0.1679 0.0000 x2  6 S 2.37-2.61
Ti2 0.0000 0.6941 0.1934 x2  6 S 2.34-2.56
Cr1 0.0000 0.1967 0.4757 x2  6 S 2.37-2.49
Cr2 0.0000 0.6718 0.6813 x2  6 S 2.36-2.57
Ag1 0.0000 0.0117 0.2802 x2  7 S 2.76-3.03
Ag2 0.0000 0.5020 0.4062 x2  7 S 2.71-2.96
S1 0.0000 0.1591 0.6578 x2  1 Cr 2.37, 2 Ti 2.45
S2 0.0000 0.2938 0.3013 x2  3 Cr 2.36-2.49
S3 0.0000 0.3689 0.0539 x2  1 Ti 2.37, 2 Cr 2.43
S4 0.0000 0.4519 0.7337 x2  2 Ti 2.45, 1 Cr 2.57
S5 0.0000 0.6614 0.0133 x2  1 Ti 2.34, 2 Cr 2.41
S6 0.0000 0.7901 0.3742 x2  3 Ti 2.42-2.56
S7 0.0000 0.8732 0.6284 x2  1 Cr 2.37, 2 Ti 2.44
S8 0.0000 0.9462 0.9427 x2  2 Cr 2.41, 1 Ti 2.61

Output
Distance to the lowest polymorph of the same formula, meV per atom: 89
VASP energy, eV for the cell shown: -168.16



(8)
The following is a DFT calculation (PBE) of a relaxed Ba3Y2I12 crystal.

a = 13.3184 Å, b = 13.3184 Å, c = 8.0132 Å
α = 90.00°, β = 90.00°, γ = 90.00°
With the nearest neighbours (Å) after each atom.
Space group P4/mbm (No. 127)
Unique sites:
Ba1 0.0000 0.0000 0.0000 x2  8 I 3.62
Ba2 0.1818 0.3182 0.5000 x4  12 I 3.90-4.04
Y1 0.1366 0.6366 0.0000 x4  7 I 3.07-3.21
I1 0.0000 0.5000 0.2395 x4  2 Y 3.21
I2 0.0521 0.7857 0.2643 x16  1 Y 3.11
I3 0.2002 0.2998 0.0000 x4  1 Y 3.07

Output
Distance to the lowest polymorph of the same formula, meV per atom: 18
VASP energy, eV for the cell shown: -126.15



(9)
The following is a DFT calculation (PBE) of a relaxed Na3Zr crystal.

a = 4.8840 Å, b = 4.8840 Å, c = 4.8840 Å
α = 90.00°, β = 90.00°, γ = 90.00°
With the nearest neighbours (Å) after each atom.
Space group Pm-3m (No. 221)
Unique sites:
Na1 0.0000 0.0000 0.5000 x3  4 Zr 3.45, 8 Na 3.45
Zr1 0.5000 0.5000 0.5000 x1  12 Na 3.45

Output
Distance to the lowest polymorph of the same formula, meV per atom: 6
VASP energy, eV for the cell shown: -9.40



(10)
The following is a DFT calculation (PBE) of a relaxed Mg6Si5 crystal.

a = 5.3232 Å, b = 6.7506 Å, c = 11.5587 Å
α = 88.61°, β = 89.68°, γ = 85.13°
With the nearest neighbours (Å) after each atom.
Space group P1 (No. 1)
Unique sites:
Mg1 0.0000 0.0000 0.0000 x1  5 Si 2.69-2.97, 2 Mg 2.99-3.01
Mg2 0.0032 0.3192 0.8137 x1  6 Si 2.71-2.96, 1 Mg 3.01
Mg3 0.0517 0.8606 0.7285 x1  3 Si 2.75-3.00, 2 Mg 3.00-3.04
Mg4 0.0737 0.7127 0.2006 x1  6 Si 2.78-2.96, 1 Mg 2.99
Mg5 0.2719 0.2103 0.2503 x1  6 Si 2.77-2.97, 1 Mg 3.09
Mg6 0.3723 0.1709 0.5290 x1  5 Si 2.70-2.95, 1 Mg 3.02
Mg7 0.4733 0.2870 0.0032 x1  5 Si 2.80-2.84, 3 Mg 3.00-3.09
Mg8 0.5265 0.0427 0.7894 x1  1 Si 2.63, 1 Mg 2.90
Mg9 0.5693 0.7232 0.5937 x1  3 Si 2.68-2.92
Mg10 0.6725 0.6684 0.9085 x1  5 Si 2.68-2.90, 1 Mg 2.90
Mg11 0.7829 0.4158 0.3812 x1  6 Si 2.75-3.07
Mg12 0.9798 0.9140 0.4412 x1  6 Si 2.78-3.10, 1 Mg 3.02
Si1 0.0809 0.5303 0.5928 x1  2 Si 2.42-2.49
Si2 0.1743 0.6315 0.9374 x1  1 Si 2.50, 5 Mg 2.68-2.80
Si3 0.2763 0.5382 0.4031 x1  2 Si 2.42-2.56
Si4 0.4759 0.4276 0.7428 x1  4 Mg 2.63-2.80, 2 Si 2.76-2.81
Si5 0.5005 0.8532 0.3619 x1  2 Si 2.56-2.69, 2 Mg 2.78-2.81
Si6 0.5087 0.8996 0.0978 x1  2 Si 2.46-2.52
Si7 0.6034 0.5553 0.1692 x1  2 Si 2.46-2.48, 1 Mg 2.75
Si8 0.7784 0.0853 0.2291 x1  2 Si 2.52-2.69, 1 Mg 2.77
Si9 0.8416 0.2295 0.6012 x1  1 Si 2.49, 2 Mg 2.70-2.71
Si10 0.9596 0.3876 0.0607 x1  2 Si 2.48-2.50, 1 Mg 2.72

Output
Distance to the lowest polymorph of the same formula, meV per atom: 75
VASP energy, eV for the cell shown: -71.80



(11)
The following is a DFT calculation (PBE) of a relaxed Th2CuP3O12 crystal.

a = 22.0818 Å, b = 6.7908 Å, c = 7.1274 Å
α = 90.00°, β = 107.11°, γ = 90.00°
With the nearest neighbours (Å) after each atom.
Space group C2/c (No. 15)
Unique sites:
Th1 0.1399 0.1464 0.1570 x8  6 O 2.28-2.54
Cu1 0.0000 0.5000 0.0000 x4  2 O 1.85
P1 0.0000 0.1410 0.7500 x4  4 O 1.53-1.57
P2 0.1815 0.3173 0.6949 x8  4 O 1.53-1.58
O1 0.0353 0.2766 0.9271 x8  1 P 1.57
O2 0.0522 0.0135 0.7115 x8  1 P 1.53
O3 0.1460 0.4858 0.1777 x8  1 P 1.54
O4 0.1529 0.1849 0.5082 x8  1 P 1.58
O5 0.1705 0.1871 0.8620 x8  1 P 1.56
O6 0.2478 0.1482 0.2758 x8  1 P 1.53

Output
VASP energy, eV for the cell shown: -573.25



(12)
The following is a DFT calculation (PBE) of a relaxed SrIrO3 crystal.

a = 5.6913 Å, b = 9.5204 Å, c = 14.4857 Å
α = 90.00°, β = 90.00°, γ = 90.00°
With the nearest neighbours (Å) after each atom.
Space group Cmcm (No. 63)
Unique sites:
Sr1 0.0000 0.0083 0.2500 x4  10 O 2.62-2.88
Sr2 0.0000 0.3234 0.6081 x8  6 O 2.47-2.73
Ir1 0.0000 0.0000 0.0000 x4  6 O 2.01-2.02
Ir2 0.0000 0.3390 0.1520 x8  6 O 2.00-2.09
O1 0.0000 0.2018 0.0429 x8  2 Ir 2.02-2.05
O2 0.0000 0.4872 0.2500 x4  2 Ir 2.00
O3 0.2285 0.2529 0.2500 x8  2 Ir 2.09
O4 0.2396 0.0393 0.5984 x16  2 Ir 2.01-2.03

Output
VASP energy, eV for the cell shown: -400.64



(13)
The following is a DFT calculation (PBE) of a relaxed CaAlCuSi2O9 crystal.

a = 12.9485 Å, b = 11.4714 Å, c = 4.8643 Å
α = 90.00°, β = 101.06°, γ = 90.00°
With the nearest neighbours (Å) after each atom.
Space group C2/m (No. 12)
Unique sites:
Ca1 0.0000 0.1664 0.0000 x4  6 O 2.31-2.47
Al1 0.2500 0.2500 0.0000 x4  6 O 1.88-1.94
Cu1 0.2256 0.0000 0.0631 x4  4 O 1.85-1.93
Si1 0.1127 0.3677 0.4371 x8  4 O 1.60-1.67
O1 0.0000 0.3123 0.5000 x4  2 Si 1.67
O2 0.0819 0.0000 0.2007 x4  1 Cu 2.10, 2 Ca 2.31
O3 0.0910 0.5000 0.3134 x4  2 Si 1.64
O4 0.1437 0.2829 0.2043 x8  1 Si 1.60
O5 0.1642 0.1197 0.8339 x8  1 Cu 1.85, 1 Al 1.94
O6 0.1966 0.3727 0.7363 x8  1 Si 1.64

Output
VASP energy, eV for the cell shown: -378.60



(14)
The following is a DFT calculation (PBE) of a relaxed LiGa2 crystal.

a = 9.7781 Å, b = 9.7781 Å, c = 9.7781 Å
α = 90.00°, β = 90.00°, γ = 90.00°
With the nearest neighbours (Å) after each atom.
Space group Fd-3m (No. 227, origin choice 2)
Unique sites:
Li1 0.0000 0.0000 0.0000 x16  6 Ga 2.71
Ga1 0.0249 0.0249 0.7251 x32  3 Li 2.71, 3 Ga 2.77

Output
VASP energy, eV for the cell shown: -128.96